Here is a relaxed structure of Ba6NaCu3Te14 from the Materials Project database. Energies are from GGA-PBE.

Properties
The space group is P6_3/mcm. Its total magnetization is 0.000 μB/f.u. The calculated formation energy comes out at -1.238 eV per atom.

Cell and atoms, written as extended XYZ:
```
48
Lattice="14.328 0.000 0.000 -7.164 12.409 0.000 0.000 0.000 9.136" Properties=species:S:1:pos:R:3 pbc="T T T"
Ba -0.257 5.599 2.284
Ba -2.443 9.387 6.852
Ba 0.257 5.599 6.852
Ba -2.187 9.831 2.284
Ba 4.978 2.578 2.284
Ba 4.721 3.022 6.852
Ba 2.443 9.387 2.284
Ba 2.187 9.831 6.852
Ba 9.351 2.578 6.852
Ba 6.908 6.809 2.284
Ba 9.607 3.022 2.284
Ba 7.421 6.809 6.852
Na 0.000 0.000 0.000
Na 0.000 0.000 4.568
Cu -1.378 2.387 6.852
Cu -5.786 10.022 2.284
Cu 2.756 0.000 6.852
Cu 1.378 2.387 2.284
Cu 11.573 0.000 2.284
Cu 5.786 10.022 6.852
Te -1.232 2.134 2.284
Te -2.279 3.948 4.806
Te -2.279 3.948 8.897
Te -3.350 5.803 6.852
Te -3.814 6.606 2.284
Te -4.885 8.461 0.238
Te -4.885 8.461 4.330
Te -5.932 10.275 6.852
Te 2.464 0.000 2.284
Te 1.232 2.134 6.852
Te 4.558 0.000 4.806
Te 4.558 0.000 8.897
Te 2.279 3.948 0.238
Te 2.279 3.948 4.330
Te 0.000 8.273 0.000
Te 0.000 8.273 4.568
Te 6.700 0.000 6.852
Te 3.350 5.803 2.284
Te 7.628 0.000 2.284
Te 3.814 6.606 6.852
Te 7.164 4.136 0.000
Te 7.164 4.136 4.568
Te 9.770 0.000 0.238
Te 9.770 0.000 4.330
Te 4.885 8.461 4.806
Te 4.885 8.461 8.897
Te 11.865 0.000 6.852
Te 5.932 10.275 2.284
```